Material: Eu2NbZnO6
Method: DFT, PBE
State: optimized geometry

a b c (Å): 5.688 5.688 5.688
angles (deg): 60.00 60.00 60.00
Sites, in units of the cell vectors:
Eu: 0.250 0.250 0.250
Eu: 0.750 0.750 0.750
Nb: 0.000 0.000 0.000
Zn: 0.500 0.500 0.500
O: 0.247 0.247 0.753
O: 0.247 0.753 0.247
O: 0.247 0.753 0.753
O: 0.753 0.247 0.247
O: 0.753 0.247 0.753
O: 0.753 0.753 0.247

Computed properties:
The calculation puts the total moment at 13.00 μB per formula unit. For the energy relative to the elements, the calculation gives -2.869 eV/atom.